Material: CaSmNi4O12
Method: DFT, PBE+U
State: relaxed

CIF file:
```
data_CaSmNi4O12
_space_group_name_H-M_alt 'P 1'
_space_group_IT_number 1
_space_group_name_Hall 'P 1'
_cell_length_a 5.325
_cell_length_b 5.325
_cell_length_c 7.577
_cell_angle_alpha 90.00
_cell_angle_beta 90.00
_cell_angle_gamma 90.00
loop_
_atom_site_label
_atom_site_type_symbol
_atom_site_fract_x
_atom_site_fract_y
_atom_site_fract_z
O1 O 0.241 0.241 0.740
Ni1 Ni 0.000 0.500 0.248
Ca1 Ca 0.500 0.500 0.000
O2 O 0.500 0.000 0.500
O3 O 0.241 0.241 0.260
Ni2 Ni 0.500 0.000 0.248
O4 O 0.759 0.241 0.260
Ni3 Ni 0.500 0.000 0.752
O5 O 0.000 0.500 0.500
O6 O 0.759 0.759 0.260
O7 O 0.759 0.241 0.740
O8 O 0.500 0.000 0.000
O9 O 0.759 0.759 0.740
Sm1 Sm 0.000 0.000 0.500
O10 O 0.000 0.500 0.000
Ni4 Ni 0.000 0.500 0.752
O11 O 0.241 0.759 0.260
O12 O 0.241 0.759 0.740
```

- Total energy after the MP2020 corrections: -6.012 eV/atom
- Formation energy: -1.055 eV/atom
- Symmetry: No. 123